(1)
A plane-wave DFT calculation with GGA+U was carried out for a relaxed structure of CoO2.

E_tot, eV per cell: -16.340
Size of the total moment, μB per cell: 3.0

Lattice parameters (Å, degrees): 2.859 2.859 11.168 99.70 99.70 65.17
Sites, in units of the cell vectors:
Co (0.000, 0.000, 0.000)
O (0.268, 0.268, 0.910)
O (0.732, 0.732, 0.090)

(2)
A plane-wave DFT calculation with GGA+U was carried out for a relaxed structure of CoO2.

E_tot, eV per cell: -34.430

Lattice parameters (Å, degrees): 2.823 7.111 4.929 96.64 90.01 78.56
Sites, in units of the cell vectors:
Co (0.500, 0.000, 0.500)
Co (0.000, 0.000, 0.000)
O (0.068, 0.864, 0.311)
O (0.432, 0.136, 0.189)
O (0.568, 0.864, 0.811)
O (0.932, 0.136, 0.689)

(3)
A plane-wave DFT calculation with GGA+U was carried out for a relaxed structure of Co9O13.

E_tot, eV per cell: -126.938
Size of the total moment, μB per cell: 29.0

Lattice parameters (Å, degrees): 5.137 5.137 16.934 98.11 98.11 33.99
Sites, in units of the cell vectors:
Co (0.000, 0.000, 0.000)
Co (0.148, 0.148, 0.543)
Co (0.249, 0.249, 0.917)
Co (0.438, 0.438, 0.627)
Co (0.487, 0.487, 0.825)
Co (0.513, 0.513, 0.175)
Co (0.562, 0.562, 0.373)
Co (0.751, 0.751, 0.083)
Co (0.852, 0.852, 0.457)
O (0.071, 0.071, 0.632)
O (0.110, 0.110, 0.104)
O (0.120, 0.120, 0.830)
O (0.204, 0.204, 0.436)
O (0.367, 0.367, 0.026)
O (0.391, 0.391, 0.726)
O (0.500, 0.500, 0.500)
O (0.609, 0.609, 0.274)
O (0.633, 0.633, 0.974)
O (0.796, 0.796, 0.564)
O (0.880, 0.880, 0.170)
O (0.890, 0.890, 0.896)
O (0.929, 0.929, 0.368)

Among the records above, which one has the highest E_tot?
number 1

What did the third record say?
A plane-wave DFT calculation with GGA+U was carried out for a relaxed structure of Co9O13.

E_tot, eV per cell: -126.938
Size of the total moment, μB per cell: 29.0

Lattice parameters (Å, degrees): 5.137 5.137 16.934 98.11 98.11 33.99
Sites, in units of the cell vectors:
Co (0.000, 0.000, 0.000)
Co (0.148, 0.148, 0.543)
Co (0.249, 0.249, 0.917)
Co (0.438, 0.438, 0.627)
Co (0.487, 0.487, 0.825)
Co (0.513, 0.513, 0.175)
Co (0.562, 0.562, 0.373)
Co (0.751, 0.751, 0.083)
Co (0.852, 0.852, 0.457)
O (0.071, 0.071, 0.632)
O (0.110, 0.110, 0.104)
O (0.120, 0.120, 0.830)
O (0.204, 0.204, 0.436)
O (0.367, 0.367, 0.026)
O (0.391, 0.391, 0.726)
O (0.500, 0.500, 0.500)
O (0.609, 0.609, 0.274)
O (0.633, 0.633, 0.974)
O (0.796, 0.796, 0.564)
O (0.880, 0.880, 0.170)
O (0.890, 0.890, 0.896)
O (0.929, 0.929, 0.368)